# Pm2MgSe4 (PBE, relaxed)
data_Pm2MgSe4
_symmetry_space_group_name_H-M 'P n m a'
_symmetry_Int_Tables_number 62
_cell_length_a 8.495
_cell_length_b 7.542
_cell_length_c 12.264
_cell_angle_alpha 90.00
_cell_angle_beta 90.00
_cell_angle_gamma 90.00
loop_
_symmetry_equiv_pos_as_xyz
'x,y,z'
'-x,-y,-z'
'-x+1/2,-y,z+1/2'
'x+1/2,y,-z+1/2'
'x+1/2,-y+1/2,-z+1/2'
'-x+1/2,y+1/2,z+1/2'
'-x,y+1/2,-z'
'x,-y+1/2,z'
loop_
_atom_site_label
_atom_site_type_symbol
_atom_site_fract_x
_atom_site_fract_y
_atom_site_fract_z
Pm1 Pm 0.042 0.250 0.182
Pm2 Pm 0.079 0.750 0.469
Mg1 Mg 0.190 0.750 0.085
Se1 Se 0.095 0.250 0.942
Se2 Se 0.138 0.506 0.655
Se3 Se 0.214 0.250 0.388
# MP2020-corrected energy: -5.358 eV/atom
# Excess energy over the best structure of this formula in the dataset: 0.1668 eV/atom

=====

DFT (PBE) results for Sm2Co16Ge after structural relaxation.

CIF file:
```
data_Sm2Co16Ge
_symmetry_space_group_name_H-M 'R 3 m'
_symmetry_Int_Tables_number 160
_symmetry_space_group_name_Hall 'R 3 -2"'
_cell_length_a 8.3838
_cell_length_b 8.3838
_cell_length_c 12.1669
_cell_angle_alpha 90.00
_cell_angle_beta 90.00
_cell_angle_gamma 120.00
loop_
_atom_site_label
_atom_site_type_symbol
_atom_site_fract_x
_atom_site_fract_y
_atom_site_fract_z
Sm1 Sm 0.0000 0.0000 0.0000
Sm2 Sm 0.0000 0.0000 0.3070
Co1 Co 0.0000 0.0000 0.5516
Co2 Co 0.9998 0.2885 0.6494
Co3 Co 0.0014 0.5007 0.5012
Co4 Co 0.0040 0.5020 0.1498
Co5 Co 0.1684 0.3368 0.1380
Ge1 Ge 0.0000 0.0000 0.7485
```

=====

# UNiSe3 (PBE, relaxed)
data_UNiSe3
_symmetry_space_group_name_H-M 'P n m a'
_symmetry_Int_Tables_number 62
_cell_length_a 7.387
_cell_length_b 8.840
_cell_length_c 6.255
_cell_angle_alpha 90.00
_cell_angle_beta 90.00
_cell_angle_gamma 90.00
loop_
_symmetry_equiv_pos_as_xyz
'x,y,z'
'-x,-y,-z'
'-x+1/2,-y,z+1/2'
'x+1/2,y,-z+1/2'
'x+1/2,-y+1/2,-z+1/2'
'-x+1/2,y+1/2,z+1/2'
'-x,y+1/2,-z'
'x,-y+1/2,z'
loop_
_atom_site_label
_atom_site_type_symbol
_atom_site_fract_x
_atom_site_fract_y
_atom_site_fract_z
U1 U 0.131 0.250 0.066
Ni1 Ni 0.000 0.000 0.500
Se1 Se 0.038 0.750 0.351
Se2 Se 0.172 0.551 0.834
# MP2020-corrected energy: -6.571 eV/atom

=====

# LiTi2O4 (PBE, relaxed)
data_LiTi2O4
_symmetry_space_group_name_H-M 'I m m 2'
_symmetry_Int_Tables_number 44
_cell_length_a 3.838
_cell_length_b 4.065
_cell_length_c 9.121
_cell_angle_alpha 90.00
_cell_angle_beta 90.00
_cell_angle_gamma 90.00
loop_
_symmetry_equiv_pos_as_xyz
'x,y,z'
'-x,-y,z'
'-x,y,z'
'x,-y,z'
'x+1/2,y+1/2,z+1/2'
'-x+1/2,-y+1/2,z+1/2'
'-x+1/2,y+1/2,z+1/2'
'x+1/2,-y+1/2,z+1/2'
loop_
_atom_site_label
_atom_site_type_symbol
_atom_site_fract_x
_atom_site_fract_y
_atom_site_fract_z
Li1 Li 0.000 0.000 0.000
Ti1 Ti 0.000 0.000 0.568
Ti2 Ti 0.000 0.500 0.789
O1 O 0.000 0.000 0.332
O2 O 0.000 0.000 0.782
O3 O 0.000 0.500 0.023
O4 O 0.000 0.500 0.572
# MP2020-corrected energy: -8.556 eV/atom
# Excess energy over the best structure of this formula in the dataset: 0.0464 eV/atom

=====

DFT (PBE) results for Nd4V3Fe25B2 after structural relaxation.

CIF file:
```
data_Nd4V3Fe25B2
_symmetry_space_group_name_H-M 'C m m 2'
_symmetry_Int_Tables_number 35
_cell_length_a 12.503
_cell_length_b 12.509
_cell_length_c 12.215
_cell_angle_alpha 90.00
_cell_angle_beta 90.00
_cell_angle_gamma 90.00
loop_
_symmetry_equiv_pos_as_xyz
'x,y,z'
'-x,-y,z'
'-x,y,z'
'x,-y,z'
'x+1/2,y+1/2,z'
'-x+1/2,-y+1/2,z'
'-x+1/2,y+1/2,z'
'x+1/2,-y+1/2,z'
loop_
_atom_site_label
_atom_site_type_symbol
_atom_site_fract_x
_atom_site_fract_y
_atom_site_fract_z
Nd1 Nd 0.000 0.142 0.000
Nd2 Nd 0.000 0.237 0.492
Nd3 Nd 0.143 0.500 0.496
Nd4 Nd 0.236 0.500 0.995
V1 V 0.000 0.000 0.370
V2 V 0.000 0.000 0.616
V3 V 0.000 0.189 0.745
V4 V 0.000 0.500 0.120
V5 V 0.000 0.500 0.871
Fe1 Fe 0.000 0.184 0.249
Fe2 Fe 0.000 0.400 0.290
Fe3 Fe 0.000 0.401 0.700
Fe4 Fe 0.100 0.000 0.201
Fe5 Fe 0.100 0.000 0.787
Fe6 Fe 0.105 0.328 0.869
Fe7 Fe 0.105 0.329 0.122
Fe8 Fe 0.162 0.301 0.318
Fe9 Fe 0.162 0.301 0.672
Fe10 Fe 0.171 0.106 0.622
Fe11 Fe 0.172 0.105 0.369
Fe12 Fe 0.184 0.500 0.242
Fe13 Fe 0.184 0.500 0.748
Fe14 Fe 0.199 0.161 0.172
Fe15 Fe 0.200 0.160 0.819
Fe16 Fe 0.250 0.250 0.497
Fe17 Fe 0.250 0.250 0.995
B1 B 0.000 0.370 0.995
B2 B 0.131 0.000 0.495
```

=====

# Na5YC4O12 (PBE, relaxed)
data_Na5YC4O12
_symmetry_space_group_name_H-M 'P 1 21/c 1'
_symmetry_Int_Tables_number 14
_cell_length_a 12.366
_cell_length_b 10.209
_cell_length_c 8.876
_cell_angle_alpha 90.00
_cell_angle_beta 90.27
_cell_angle_gamma 90.00
loop_
_symmetry_equiv_pos_as_xyz
'x,y,z'
'-x,-y,-z'
'-x,y+1/2,-z+1/2'
'x,-y+1/2,z+1/2'
loop_
_atom_site_label
_atom_site_type_symbol
_atom_site_fract_x
_atom_site_fract_y
_atom_site_fract_z
Na1 Na 0.075 0.126 0.047
Na2 Na 0.105 0.627 0.084
Na3 Na 0.212 0.126 0.695
Na4 Na 0.365 0.177 0.013
Na5 Na 0.401 0.580 0.077
Y1 Y 0.276 0.624 0.715
C1 C 0.013 0.608 0.755
C2 C 0.218 0.118 0.357
C3 C 0.278 0.634 0.389
C4 C 0.496 0.134 0.738
O1 O 0.013 0.163 0.620
O2 O 0.042 0.011 0.799
O3 O 0.096 0.652 0.676
O4 O 0.206 0.231 0.419
O5 O 0.223 0.010 0.436
O6 O 0.229 0.106 0.211
O7 O 0.268 0.632 0.244
O8 O 0.271 0.747 0.457
O9 O 0.293 0.530 0.468
O10 O 0.400 0.152 0.689
O11 O 0.440 0.545 0.824
O12 O 0.462 0.701 0.650
# MP2020-corrected energy: -7.273 eV/atom

=====

DFT (PBE) results for CsTh after structural relaxation.

CIF file:
```
data_CsTh
_symmetry_space_group_name_H-M 'R -3 m'
_symmetry_Int_Tables_number 166
_symmetry_space_group_name_Hall '-R 3 2"'
_cell_length_a 3.7374
_cell_length_b 3.7374
_cell_length_c 22.4779
_cell_angle_alpha 90.00
_cell_angle_beta 90.00
_cell_angle_gamma 120.00
loop_
_atom_site_label
_atom_site_type_symbol
_atom_site_fract_x
_atom_site_fract_y
_atom_site_fract_z
Cs1 Cs 0.0000 0.0000 0.0000
Th1 Th 0.0000 0.0000 0.5000
```

=====

# PrH (PBE, relaxed)
data_PrH
_symmetry_space_group_name_H-M 'P 63 m c'
_symmetry_Int_Tables_number 186
_symmetry_space_group_name_Hall 'P 6c -2c'
_cell_length_a 3.9117
_cell_length_b 3.9117
_cell_length_c 6.1108
_cell_angle_alpha 90.00
_cell_angle_beta 90.00
_cell_angle_gamma 120.00
loop_
_atom_site_label
_atom_site_type_symbol
_atom_site_fract_x
_atom_site_fract_y
_atom_site_fract_z
Pr1 Pr 0.3333 0.6667 0.0000
H1 H 0.3333 0.6667 0.6054
# MP2020-corrected energy: -4.548 eV/atom

=====

# Ba2Nb15O32 (PBE, relaxed)
data_Ba2Nb15O32
_symmetry_space_group_name_H-M 'R -3'
_symmetry_Int_Tables_number 148
_symmetry_space_group_name_Hall '-R 3'
_cell_length_a 7.8990
_cell_length_b 7.8990
_cell_length_c 36.2543
_cell_angle_alpha 90.00
_cell_angle_beta 90.00
_cell_angle_gamma 120.00
loop_
_atom_site_label
_atom_site_type_symbol
_atom_site_fract_x
_atom_site_fract_y
_atom_site_fract_z
Ba1 Ba 0.0000 0.0000 0.1386
Nb1 Nb 0.0000 0.0000 0.3608
Nb2 Nb 0.0000 0.0000 0.5000
Nb3 Nb 0.0235 0.2169 0.0329
Nb4 Nb 0.0688 0.4790 0.9005
O1 O 0.0000 0.0000 0.2619
O2 O 0.0118 0.2162 0.5319
O3 O 0.0310 0.2327 0.9320
O4 O 0.0590 0.2360 0.7933
O5 O 0.0625 0.2362 0.3958
O6 O 0.0703 0.2400 0.6669
# MP2020-corrected energy: -9.392 eV/atom

=====

# BaNa4Ti2Si10B2O30 (PBE, relaxed)
data_BaNa4Ti2Si10B2O30
_symmetry_space_group_name_H-M 'P -1'
_symmetry_Int_Tables_number 2
_cell_length_a 7.303
_cell_length_b 9.877
_cell_length_c 9.881
_cell_angle_alpha 119.73
_cell_angle_beta 91.63
_cell_angle_gamma 91.42
loop_
_symmetry_equiv_pos_as_xyz
'x,y,z'
'-x,-y,-z'
loop_
_atom_site_label
_atom_site_type_symbol
_atom_site_fract_x
_atom_site_fract_y
_atom_site_fract_z
Ba1 Ba 0.000 0.000 0.000
Na1 Na 0.494 0.723 0.278
Na2 Na 0.498 0.302 0.303
Ti1 Ti 0.496 0.084 0.914
Si1 Si 0.190 0.063 0.372
Si2 Si 0.192 0.379 0.075
Si3 Si 0.198 0.412 0.573
Si4 Si 0.234 0.589 0.924
Si5 Si 0.234 0.911 0.582
B1 B 0.211 0.578 0.405
O1 O 0.016 0.587 0.411
O2 O 0.032 0.663 0.930
O3 O 0.032 0.928 0.662
O4 O 0.217 0.936 0.429
O5 O 0.219 0.433 0.944
O6 O 0.268 0.523 0.244
O7 O 0.270 0.235 0.516
O8 O 0.278 0.466 0.455
O9 O 0.285 0.027 0.213
O10 O 0.287 0.216 0.030
O11 O 0.304 0.733 0.513
O12 O 0.305 0.522 0.745
O13 O 0.376 0.907 0.908
O14 O 0.378 0.039 0.711
O15 O 0.380 0.716 0.049
# MP2020-corrected energy: -8.038 eV/atom
# Excess energy over the best structure of this formula in the dataset: 0.0000 eV/atom

=====

Ρ, respectively: 5.3, 8.9, 8.7, 3.9, 7.5, 2.6, 6.7, 5.8, 5.5, 3.0 g/cm³.
DFT formation energy, respectively: -1.775, -0.083, -1.059, -3.200, -0.053, -2.302, 0.860, -0.462, -2.990, -3.159 eV/atom.